1.
VASP calculation (PBE-GGA) on a relaxed structure of TlAgBr3.

Results
* total moment: 0.000 μB/atom
* final energy: -2.53 eV per atom

```
data_TlAgBr3
_chemical_formula_sum 'Tl6 Ag6 Br18'
_cell_length_a 7.6802
_cell_length_b 7.6802
_cell_length_c 18.5650
_cell_angle_alpha 90.00
_cell_angle_beta 90.00
_cell_angle_gamma 120.00
_space_group_name_H-M_alt 'R 3 c'
_space_group_IT_number 161
_space_group_name_Hall 'R 3 -2"c'
loop_
_atom_site_label
_atom_site_fract_x
_atom_site_fract_y
_atom_site_fract_z
Tl1 0.0000 0.0000 0.0000
Ag1 0.0000 0.0000 0.2285
Br1 0.1127 0.3364 0.3101
```

2.
VASP calculation (PBE-GGA) on a relaxed structure of TlAgBr3.

Results
* total moment: 0.000 μB/atom
* final energy: -2.52 eV per atom

```
data_TlAgBr3
_chemical_formula_sum 'Tl2 Ag2 Br6'
_cell_length_a 7.655
_cell_length_b 7.642
_cell_length_c 5.407
_cell_angle_alpha 90.00
_cell_angle_beta 90.16
_cell_angle_gamma 90.00
_space_group_name_H-M_alt 'C 1 m 1'
_space_group_IT_number 8
loop_
_space_group_symop_operation_xyz
'x,y,z'
'x,-y,z'
'x+1/2,y+1/2,z'
'x+1/2,-y+1/2,z'
loop_
_atom_site_label
_atom_site_fract_x
_atom_site_fract_y
_atom_site_fract_z
Tl1 0.000 0.000 0.000
Ag1 0.499 0.000 0.484
Br1 0.250 0.253 0.481
Br2 0.491 0.000 0.984
```

Which formula does entry 1 have?
TlAgBr3

Which value of final energy does entry 2 give?
-2.52 eV per atom